Compound: Li2TiO3
Source: the Materials Project
Functional: PBE-GGA
Structure: relaxed

a b c (Å): 5.038 5.087 7.623
angles (deg): 70.80 89.56 61.89
Fractional positions:
Li 0.108 0.103 0.332
Li 0.217 0.218 0.666
Li 0.331 0.348 0.003
Li 0.669 0.652 0.997
Li 0.783 0.782 0.334
Li 0.892 0.897 0.668
Ti 0.000 0.000 0.000
Ti 0.462 0.447 0.333
Ti 0.538 0.553 0.667
O 0.079 0.523 0.170
O 0.210 0.657 0.508
O 0.271 0.771 0.827
O 0.365 0.921 0.160
O 0.500 0.000 0.500
O 0.635 0.079 0.840
O 0.729 0.229 0.173
O 0.790 0.343 0.492
O 0.921 0.477 0.830

Calculated values
Size of the total moment, μB per cell: 0.000

***

Compound: Li6Ti9O20
Source: the Materials Project
Functional: PBE-GGA
Structure: relaxed

a b c (Å): 5.974 5.974 24.694
angles (deg): 96.89 96.89 60.02
Fractional positions:
Li 0.000 0.000 0.000
Li 0.000 0.000 0.500
Li 0.073 0.073 0.725
Li 0.131 0.131 0.878
Li 0.276 0.276 0.326
Li 0.324 0.324 0.473
Li 0.471 0.471 0.926
Li 0.529 0.529 0.074
Li 0.676 0.676 0.527
Li 0.724 0.724 0.674
Li 0.869 0.869 0.122
Li 0.927 0.927 0.275
Ti 0.000 0.500 0.000
Ti 0.098 0.596 0.799
Ti 0.188 0.188 0.096
Ti 0.193 0.706 0.598
Ti 0.196 0.196 0.598
Ti 0.294 0.807 0.402
Ti 0.399 0.399 0.199
Ti 0.402 0.402 0.698
Ti 0.404 0.902 0.201
Ti 0.500 0.000 0.000
Ti 0.596 0.098 0.799
Ti 0.598 0.598 0.302
Ti 0.601 0.601 0.801
Ti 0.706 0.193 0.598
Ti 0.804 0.804 0.402
Ti 0.807 0.294 0.402
Ti 0.812 0.812 0.904
Ti 0.902 0.404 0.201
O 0.048 0.048 0.643
O 0.067 0.067 0.153
O 0.070 0.516 0.154
O 0.087 0.533 0.648
O 0.112 0.653 0.949
O 0.134 0.672 0.443
O 0.136 0.136 0.442
O 0.164 0.164 0.959
O 0.248 0.248 0.243
O 0.267 0.267 0.752
O 0.268 0.716 0.752
O 0.284 0.732 0.248
O 0.328 0.866 0.557
O 0.335 0.335 0.049
O 0.347 0.888 0.051
O 0.352 0.352 0.557
O 0.447 0.447 0.842
O 0.467 0.913 0.352
O 0.469 0.469 0.352
O 0.484 0.930 0.846
O 0.516 0.070 0.154
O 0.531 0.531 0.648
O 0.533 0.087 0.648
O 0.553 0.553 0.158
O 0.648 0.648 0.443
O 0.653 0.112 0.949
O 0.665 0.665 0.951
O 0.672 0.134 0.443
O 0.716 0.268 0.752
O 0.732 0.284 0.248
O 0.733 0.733 0.248
O 0.752 0.752 0.757
O 0.836 0.836 0.041
O 0.864 0.864 0.558
O 0.866 0.328 0.557
O 0.888 0.347 0.051
O 0.913 0.467 0.352
O 0.930 0.484 0.846
O 0.933 0.933 0.847
O 0.952 0.952 0.357

Calculated values
Size of the total moment, μB per cell: 0.322
ΔE to the lowest computed polymorph, eV/atom: 0.0000

***

Compound: Li2TiO3
Source: the Materials Project
Functional: PBE-GGA
Structure: relaxed

a b c (Å): 5.108 5.108 9.835
angles (deg): 95.07 95.07 120.11
Fractional positions:
Li 0.000 0.500 0.500
Li 0.084 0.916 0.750
Li 0.160 0.320 0.000
Li 0.320 0.160 0.500
Li 0.500 0.000 0.000
Li 0.680 0.840 0.500
Li 0.840 0.680 0.000
Li 0.916 0.084 0.250
Ti 0.250 0.750 0.250
Ti 0.417 0.583 0.750
Ti 0.583 0.417 0.250
Ti 0.750 0.250 0.750
O 0.045 0.233 0.634
O 0.123 0.596 0.863
O 0.233 0.045 0.134
O 0.310 0.479 0.363
O 0.404 0.877 0.637
O 0.479 0.310 0.863
O 0.521 0.690 0.137
O 0.596 0.123 0.363
O 0.690 0.521 0.637
O 0.767 0.955 0.866
O 0.877 0.404 0.137
O 0.955 0.767 0.366

***

Compound: LiTi6O12
Source: the Materials Project
Functional: PBE-GGA
Structure: relaxed

a b c (Å): 5.862 9.607 7.802
angles (deg): 90.00 99.68 90.00
Fractional positions:
Li 0.042 0.000 0.229
Li 0.958 0.500 0.771
Ti 0.029 0.330 0.236
Ti 0.142 0.609 0.424
Ti 0.193 0.100 0.901
Ti 0.326 0.818 0.087
Ti 0.364 0.326 0.566
Ti 0.478 0.600 0.762
Ti 0.522 0.100 0.238
Ti 0.636 0.826 0.434
Ti 0.674 0.318 0.913
Ti 0.807 0.600 0.099
Ti 0.858 0.109 0.576
Ti 0.971 0.830 0.764
O 0.038 0.928 0.988
O 0.055 0.235 0.472
O 0.116 0.692 0.192
O 0.128 0.999 0.686
O 0.205 0.498 0.649
O 0.206 0.180 0.147
O 0.281 0.735 0.856
O 0.298 0.429 0.351
O 0.362 0.928 0.312
O 0.378 0.239 0.807
O 0.448 0.690 0.525
O 0.466 0.999 0.017
O 0.534 0.499 0.983
O 0.552 0.190 0.475
O 0.622 0.739 0.193
O 0.638 0.428 0.688
O 0.702 0.929 0.649
O 0.719 0.235 0.144
O 0.794 0.680 0.853
O 0.795 0.998 0.351
O 0.872 0.499 0.314
O 0.884 0.192 0.808
O 0.945 0.735 0.528
O 0.962 0.428 0.012

Calculated values
Size of the total moment, μB per cell: 2.000
ΔE to the lowest computed polymorph, eV/atom: 0.0108

***

Compound: Li2Ti3O6
Source: the Materials Project
Functional: PBE-GGA
Structure: relaxed

a b c (Å): 5.095 5.095 5.275
angles (deg): 99.18 99.18 119.91
Fractional positions:
Li 0.167 0.833 0.000
Li 0.833 0.167 0.000
Ti 0.000 0.000 0.500
Ti 0.337 0.663 0.500
Ti 0.663 0.337 0.500
O 0.064 0.407 0.721
O 0.248 0.248 0.273
O 0.407 0.064 0.721
O 0.593 0.936 0.279
O 0.752 0.752 0.727
O 0.936 0.593 0.279

Calculated values
Size of the total moment, μB per cell: 0.775
ΔE to the lowest computed polymorph, eV/atom: 0.0294

***

Compound: LiTi4O6
Source: the Materials Project
Functional: PBE-GGA
Structure: relaxed

a b c (Å): 5.211 2.921 7.690
angles (deg): 90.00 103.33 90.00
Fractional positions:
Li 0.000 0.000 0.000
Ti 0.148 0.000 0.385
Ti 0.280 0.000 0.738
Ti 0.544 0.500 0.066
Ti 0.694 0.500 0.422
O 0.182 0.500 0.904
O 0.371 0.500 0.558
O 0.461 0.000 0.247
O 0.631 0.000 0.915
O 0.918 0.000 0.570
O 0.922 0.500 0.226

Calculated values
Size of the total moment, μB per cell: 0.646
ΔE to the lowest computed polymorph, eV/atom: 0.0126

***

Compound: LiTi3O4
Source: the Materials Project
Functional: PBE-GGA
Structure: relaxed

a b c (Å): 2.983 5.169 5.173
angles (deg): 70.58 89.91 89.95
Fractional positions:
Li 0.000 0.000 0.000
Ti 0.500 0.502 0.967
Ti 0.500 0.968 0.500
Ti 0.999 0.516 0.515
O 0.000 0.245 0.242
O 0.000 0.770 0.768
O 0.500 0.243 0.733
O 0.500 0.734 0.241

Calculated values
Size of the total moment, μB per cell: 0.000
ΔE to the lowest computed polymorph, eV/atom: 0.0000

***

Compound: Li6Ti2O7
Source: the Materials Project
Functional: PBE-GGA
Structure: relaxed

a b c (Å): 10.089 10.089 2.963
angles (deg): 90.00 90.00 90.00
Fractional positions:
Li 0.085 0.085 0.000
Li 0.108 0.300 0.497
Li 0.200 0.608 0.997
Li 0.300 0.108 0.497
Li 0.392 0.800 0.997
Li 0.415 0.585 0.500
Li 0.585 0.415 0.500
Li 0.608 0.200 0.997
Li 0.700 0.892 0.497
Li 0.800 0.392 0.997
Li 0.892 0.700 0.497
Li 0.915 0.915 0.000
Ti 0.153 0.847 0.513
Ti 0.347 0.347 0.013
Ti 0.653 0.653 0.013
Ti 0.847 0.153 0.513
O 0.000 0.000 0.500
O 0.053 0.755 0.995
O 0.218 0.218 0.997
O 0.245 0.947 0.995
O 0.255 0.447 0.495
O 0.282 0.718 0.497
O 0.447 0.255 0.495
O 0.500 0.500 0.000
O 0.553 0.745 0.495
O 0.718 0.282 0.497
O 0.745 0.553 0.495
O 0.755 0.053 0.995
O 0.782 0.782 0.997
O 0.947 0.245 0.995

Calculated values
Size of the total moment, μB per cell: 0.000
ΔE to the lowest computed polymorph, eV/atom: 0.0677

***

| no. | raw total energy (eV/atom) | V (Å³ per atom) |
| --- | --- | --- |
| 1 | -6.91 | 8.90 |
| 2 | -8.01 | 10.80 |
| 3 | -7.06 | 9.10 |
| 4 | -8.65 | 11.40 |
| 5 | -7.91 | 10.23 |
| 6 | -8.39 | 10.35 |
| 7 | -8.21 | 9.40 |
| 8 | -6.54 | 10.05 |